Entry 1:
Material: Na2CuSi4O10
Method: DFT, PBE
State: relaxed

a = 7.003 Å, b = 7.793 Å, c = 9.923 Å
α = 102.86°, β = 103.07°, γ = 114.33°
Fractional coordinates of all 34 atoms:
Na1 0.342 0.243 0.025
Na2 0.658 0.757 0.975
Na3 0.266 0.718 0.579
Na4 0.734 0.282 0.421
Cu1 0.767 0.727 0.573
Cu2 0.233 0.273 0.427
Si1 0.929 0.295 0.150
Si2 0.071 0.705 0.850
Si3 0.817 0.621 0.249
Si4 0.413 0.658 0.264
Si5 0.587 0.342 0.736
Si6 0.769 0.065 0.811
Si7 0.231 0.935 0.189
Si8 0.183 0.379 0.751
O1 0.815 0.106 0.991
O2 0.240 0.605 0.856
O3 0.671 0.827 0.734
O4 0.329 0.173 0.266
O5 0.832 0.535 0.849
O6 0.168 0.465 0.151
O7 0.889 0.647 0.420
O8 0.111 0.353 0.580
O9 0.951 0.218 0.286
O10 0.049 0.782 0.714
O11 0.479 0.665 0.431
O12 0.582 0.626 0.180
O13 0.585 0.134 0.747
O14 0.415 0.866 0.253
O15 0.008 0.208 0.799
O16 0.992 0.792 0.201
O17 0.185 0.894 0.009
O18 0.521 0.335 0.569
O19 0.418 0.374 0.820
O20 0.760 0.395 0.144

**Offset from the most stable computed form**: 0.00 eV per formula unit
**Crystal system**: triclinic
**Electronic total energy**: -6.96 eV per atom
**Symmetry**: P-1 (2)
**Calculated formation energy**: -2783.0 meV per atom

***

Entry 2:
Material: Sm4I6O
Method: DFT, PBE
State: relaxed

a = 9.886 Å, b = 9.886 Å, c = 8.475 Å
α = 90.00°, β = 90.00°, γ = 120.00°
Fractional coordinates of all 22 atoms:
Sm1 0.202 0.798 0.069
Sm2 0.798 0.596 0.569
Sm3 0.596 0.798 0.069
Sm4 0.667 0.333 0.261
Sm5 0.404 0.202 0.569
Sm6 0.333 0.667 0.761
Sm7 0.798 0.202 0.569
Sm8 0.202 0.404 0.069
I1 0.473 0.945 0.386
I2 0.135 0.865 0.699
I3 0.135 0.270 0.699
I4 0.865 0.135 0.199
I5 0.055 0.527 0.386
I6 0.270 0.135 0.199
I7 0.865 0.730 0.199
I8 0.945 0.473 0.886
I9 0.527 0.055 0.886
I10 0.527 0.473 0.886
I11 0.473 0.527 0.386
I12 0.730 0.865 0.699
O1 0.667 0.333 0.546
O2 0.333 0.667 0.046

**Crystal system**: hexagonal
**Electronic total energy**: -4.37 eV per atom
**Symmetry**: P6_3mc (186)
**Calculated formation energy**: -1439.1 meV per atom

***

Entry 3:
Material: Tm3Ga8Ag3
Method: DFT, PBE
State: relaxed

a = 4.360 Å, b = 8.262 Å, c = 8.262 Å
α = 70.56°, β = 74.70°, γ = 74.70°
Fractional coordinates of all 14 atoms:
Tm1 0.500 0.500 0.500
Tm2 0.204 0.796 0.796
Tm3 0.796 0.204 0.204
Ga1 0.358 0.361 0.923
Ga2 0.642 0.639 0.077
Ga3 0.358 0.923 0.361
Ga4 0.642 0.077 0.639
Ga5 0.157 0.473 0.212
Ga6 0.843 0.527 0.788
Ga7 0.157 0.212 0.473
Ga8 0.843 0.788 0.527
Ag1 0.500 0.000 0.000
Ag2 0.000 0.812 0.188
Ag3 0.000 0.188 0.812

**Crystal system**: orthorhombic
**Electronic total energy**: -3.71 eV per atom
**Symmetry**: Immm (71)
**Calculated formation energy**: -418.3 meV per atom

***

Among the records above, which one has the lowest calculated formation energy? Na2CuSi4O10

***

calculated formation energy of number 3 (Tm3Ga8Ag3)? -418.3 meV per atom